Record 1
## Cs2GeP4O13 (PBE)

Data for Cs2GeP4O13 after structural relaxation.

## Properties
Corrected total energy (MP2020 scheme) ... -7.21 eV/atom
E_form ... -2.59 eV/atom
Crystal system ... triclinic
Calculated total energy ... -270.6 eV/cell
Calculated density ... 3.45 g/cm³

a = 5.056 Å, b = 8.021 Å, c = 16.230 Å
α = 84.54°, β = 84.31°, γ = 80.84°
Fractional coordinates of all 40 atoms:
1 Cs 0.272 0.295 0.029
2 Cs 0.674 0.743 0.489
3 Cs 0.728 0.705 0.971
4 Cs 0.326 0.257 0.511
5 Ge 0.551 0.938 0.242
6 Ge 0.449 0.062 0.758
7 P 0.663 0.407 0.696
8 P 0.315 0.684 0.787
9 P 0.337 0.593 0.304
10 P 0.685 0.316 0.213
11 P 0.983 0.088 0.335
12 P 0.017 0.912 0.665
13 P 0.115 0.785 0.153
14 P 0.885 0.215 0.847
15 O 0.808 0.420 0.613
16 O 0.551 0.712 0.290
17 O 0.204 0.708 0.073
18 O 0.887 0.152 0.418
19 O 0.947 0.241 0.261
20 O 0.446 0.835 0.806
21 O 0.277 0.924 0.172
22 O 0.827 0.949 0.311
23 O 0.290 0.022 0.328
24 O 0.143 0.638 0.230
25 O 0.745 0.433 0.141
26 O 0.710 0.978 0.672
27 O 0.488 0.405 0.287
28 O 0.189 0.142 0.844
29 O 0.512 0.595 0.713
30 O 0.113 0.848 0.582
31 O 0.723 0.076 0.828
32 O 0.053 0.759 0.739
33 O 0.192 0.580 0.387
34 O 0.811 0.858 0.156
35 O 0.255 0.567 0.859
36 O 0.173 0.051 0.689
37 O 0.857 0.362 0.770
38 O 0.554 0.165 0.194
39 O 0.796 0.292 0.927
40 O 0.449 0.288 0.710

Record 2
## CsGeSbO5 (PBE)

Data for CsGeSbO5 after structural relaxation.

## Properties
Corrected total energy (MP2020 scheme) ... -6.39 eV/atom
E_form ... -2.09 eV/atom
Crystal system ... tetragonal
Calculated total energy ... -762.5 eV/cell
Calculated density ... 4.90 g/cm³

a = 10.419 Å, b = 10.419 Å, c = 21.640 Å
α = 103.93°, β = 103.93°, γ = 90.00°
Fractional coordinates of all 128 atoms:
1 Cs 0.519 0.019 0.500
2 Cs 0.981 0.481 0.500
3 Cs 0.269 0.731 0.000
4 Cs 0.731 0.269 0.000
5 Cs 0.678 0.178 0.357
6 Cs 0.572 0.572 0.143
7 Cs 0.822 0.322 0.643
8 Cs 0.428 0.428 0.857
9 Cs 0.317 0.817 0.634
10 Cs 0.933 0.933 0.866
11 Cs 0.183 0.683 0.366
12 Cs 0.067 0.067 0.134
13 Cs 0.125 0.128 0.750
14 Cs 0.625 0.622 0.750
15 Cs 0.378 0.375 0.250
16 Cs 0.872 0.875 0.250
17 Ge 0.162 0.150 0.579
18 Ge 0.417 0.429 0.579
19 Ge 0.833 0.600 0.921
20 Ge 0.088 0.321 0.921
21 Ge 0.571 0.583 0.421
22 Ge 0.850 0.838 0.421
23 Ge 0.679 0.912 0.079
24 Ge 0.400 0.167 0.079
25 Ge 0.652 0.663 0.586
26 Ge 0.934 0.923 0.586
27 Ge 0.316 0.087 0.914
28 Ge 0.598 0.827 0.914
29 Ge 0.077 0.066 0.414
30 Ge 0.337 0.348 0.414
31 Ge 0.173 0.402 0.086
32 Ge 0.913 0.684 0.086
33 Sb 0.476 0.222 0.682
34 Sb 0.205 0.459 0.682
35 Sb 0.045 0.528 0.818
36 Sb 0.774 0.291 0.818
37 Sb 0.541 0.795 0.318
38 Sb 0.778 0.524 0.318
39 Sb 0.709 0.226 0.182
40 Sb 0.472 0.955 0.182
41 Sb 0.963 0.710 0.690
42 Sb 0.727 0.981 0.690
43 Sb 0.523 0.040 0.810
44 Sb 0.287 0.769 0.810
45 Sb 0.019 0.273 0.310
46 Sb 0.290 0.037 0.310
47 Sb 0.231 0.713 0.190
48 Sb 0.960 0.477 0.190
49 O 0.420 0.116 0.737
50 O 0.317 0.621 0.737
51 O 0.933 0.634 0.763
52 O 0.830 0.129 0.763
53 O 0.379 0.683 0.263
54 O 0.884 0.580 0.263
55 O 0.871 0.170 0.237
56 O 0.366 0.067 0.237
57 O 0.671 0.375 0.250
58 O 0.579 0.875 0.250
59 O 0.125 0.421 0.750
60 O 0.625 0.329 0.750
61 O 0.183 0.875 0.250
62 O 0.067 0.375 0.250
63 O 0.625 0.933 0.750
64 O 0.125 0.817 0.750
65 O 0.846 0.030 0.635
66 O 0.789 0.605 0.635
67 O 0.461 0.720 0.865
68 O 0.404 0.145 0.865
69 O 0.395 0.211 0.365
70 O 0.970 0.154 0.365
71 O 0.855 0.596 0.135
72 O 0.280 0.539 0.135
73 O 0.524 0.335 0.624
74 O 0.099 0.289 0.624
75 O 0.151 0.415 0.876
76 O 0.726 0.461 0.876
77 O 0.711 0.901 0.376
78 O 0.665 0.476 0.376
79 O 0.539 0.274 0.124
80 O 0.585 0.849 0.124
81 O 0.333 0.126 0.600
82 O 0.267 0.474 0.600
83 O 0.983 0.624 0.900
84 O 0.917 0.276 0.900
85 O 0.526 0.733 0.400
86 O 0.874 0.667 0.400
87 O 0.724 0.083 0.100
88 O 0.376 0.017 0.100
89 O 0.630 0.833 0.611
90 O 0.981 0.778 0.611
91 O 0.269 0.917 0.889
92 O 0.620 0.972 0.889
93 O 0.222 0.019 0.389
94 O 0.167 0.370 0.389
95 O 0.028 0.380 0.111
96 O 0.083 0.731 0.111
97 O 0.108 0.164 0.496
98 O 0.388 0.332 0.496
99 O 0.862 0.586 0.004
100 O 0.142 0.418 0.004
101 O 0.668 0.612 0.504
102 O 0.836 0.892 0.504
103 O 0.582 0.858 0.996
104 O 0.414 0.138 0.996
105 O 0.089 0.003 0.589
106 O 0.500 0.586 0.589
107 O 0.750 0.747 0.911
108 O 0.161 0.164 0.911
109 O 0.414 0.500 0.411
110 O 0.997 0.911 0.411
111 O 0.836 0.839 0.089
112 O 0.253 0.250 0.089
113 O 0.861 0.861 0.722
114 O 0.389 0.889 0.778
115 O 0.139 0.139 0.278
116 O 0.111 0.611 0.222
117 O 0.356 0.356 0.712
118 O 0.894 0.394 0.788
119 O 0.644 0.644 0.288
120 O 0.606 0.106 0.212
121 O 0.596 0.091 0.647
122 O 0.051 0.556 0.647
123 O 0.199 0.659 0.853
124 O 0.654 0.194 0.853
125 O 0.444 0.949 0.353
126 O 0.909 0.404 0.353
127 O 0.806 0.346 0.147
128 O 0.341 0.801 0.147

Record 3
## Cs12Sn8GeO4 (PBE)

Data for Cs12Sn8GeO4 after structural relaxation.

## Properties
Corrected total energy (MP2020 scheme) ... -3.56 eV/atom
E_form ... -0.87 eV/atom
Crystal system ... monoclinic
Calculated total energy ... -344.6 eV/cell
Calculated density ... 4.25 g/cm³

a = 13.949 Å, b = 13.766 Å, c = 24.949 Å
α = 90.00°, β = 90.00°, γ = 118.92°
Fractional coordinates of all 100 atoms:
1 Cs 0.909 0.444 0.606
2 Cs 0.091 0.056 0.106
3 Cs 0.091 0.556 0.394
4 Cs 0.909 0.944 0.894
5 Cs 0.913 0.229 0.843
6 Cs 0.087 0.271 0.343
7 Cs 0.087 0.771 0.157
8 Cs 0.913 0.729 0.657
9 Cs 0.876 0.378 0.116
10 Cs 0.124 0.122 0.616
11 Cs 0.124 0.622 0.884
12 Cs 0.876 0.878 0.384
13 Cs 0.859 0.137 0.692
14 Cs 0.141 0.363 0.192
15 Cs 0.141 0.863 0.308
16 Cs 0.859 0.637 0.808
17 Cs 0.831 0.408 0.931
18 Cs 0.169 0.092 0.431
19 Cs 0.169 0.592 0.069
20 Cs 0.831 0.908 0.569
21 Cs 0.829 0.209 0.274
22 Cs 0.171 0.291 0.774
23 Cs 0.171 0.791 0.726
24 Cs 0.829 0.709 0.226
25 Cs 0.802 0.986 0.162
26 Cs 0.198 0.514 0.662
27 Cs 0.198 0.014 0.838
28 Cs 0.802 0.486 0.338
29 Cs 0.730 0.336 0.745
30 Cs 0.270 0.164 0.245
31 Cs 0.270 0.664 0.255
32 Cs 0.730 0.836 0.755
33 Cs 0.497 0.216 0.525
34 Cs 0.503 0.284 0.025
35 Cs 0.503 0.784 0.475
36 Cs 0.497 0.716 0.975
37 Cs 0.478 0.400 0.876
38 Cs 0.522 0.100 0.376
39 Cs 0.522 0.600 0.124
40 Cs 0.478 0.900 0.624
41 Cs 0.380 0.156 0.702
42 Cs 0.620 0.344 0.202
43 Cs 0.620 0.844 0.298
44 Cs 0.380 0.656 0.798
45 Cs 0.280 0.454 0.506
46 Cs 0.720 0.046 0.006
47 Cs 0.720 0.546 0.494
48 Cs 0.280 0.954 0.994
49 Sn 0.960 0.218 0.504
50 Sn 0.040 0.282 0.004
51 Sn 0.040 0.782 0.496
52 Sn 0.960 0.718 0.996
53 Sn 0.812 0.795 0.046
54 Sn 0.188 0.705 0.546
55 Sn 0.188 0.205 0.954
56 Sn 0.812 0.295 0.454
57 Sn 0.728 0.130 0.543
58 Sn 0.272 0.370 0.043
59 Sn 0.272 0.870 0.457
60 Sn 0.728 0.630 0.957
61 Sn 0.230 0.435 0.935
62 Sn 0.770 0.065 0.435
63 Sn 0.770 0.565 0.065
64 Sn 0.230 0.935 0.565
65 Sn 0.548 0.140 0.874
66 Sn 0.452 0.360 0.374
67 Sn 0.452 0.860 0.126
68 Sn 0.548 0.640 0.626
69 Sn 0.522 0.009 0.772
70 Sn 0.478 0.491 0.272
71 Sn 0.478 0.991 0.228
72 Sn 0.522 0.509 0.728
73 Sn 0.626 0.970 0.865
74 Sn 0.374 0.530 0.365
75 Sn 0.374 0.030 0.135
76 Sn 0.626 0.470 0.635
77 Sn 0.392 0.900 0.870
78 Sn 0.608 0.600 0.370
79 Sn 0.608 0.100 0.130
80 Sn 0.392 0.400 0.630
81 Ge 0.991 0.009 0.259
82 Ge 0.009 0.491 0.759
83 Ge 0.009 0.991 0.741
84 Ge 0.991 0.509 0.241
85 O 0.977 0.363 0.727
86 O 0.023 0.137 0.227
87 O 0.023 0.637 0.273
88 O 0.977 0.863 0.773
89 O 0.964 0.070 0.782
90 O 0.036 0.430 0.282
91 O 0.036 0.930 0.218
92 O 0.964 0.570 0.718
93 O 0.935 0.462 0.822
94 O 0.065 0.038 0.322
95 O 0.065 0.538 0.178
96 O 0.935 0.962 0.678
97 O 0.845 0.426 0.231
98 O 0.155 0.074 0.731
99 O 0.155 0.574 0.769
100 O 0.845 0.926 0.269

Record 4
## Cs2SnGe3O9 (PBE)

Data for Cs2SnGe3O9 after structural relaxation.

## Properties
Corrected total energy (MP2020 scheme) ... -6.45 eV/atom
E_form ... -2.17 eV/atom
Crystal system ... hexagonal
Calculated total energy ... -181.0 eV/cell
Calculated density ... 4.91 g/cm³

a = 7.406 Å, b = 7.406 Å, c = 10.628 Å
α = 90.00°, β = 90.00°, γ = 120.00°
Fractional coordinates of all 30 atoms:
1 Cs 0.333 0.667 0.060
2 Cs 0.667 0.333 0.560
3 Cs 0.667 0.333 0.940
4 Cs 0.333 0.667 0.440
5 Sn 0.000 0.000 0.000
6 Sn 0.000 0.000 0.500
7 Ge 0.374 0.234 0.250
8 Ge 0.141 0.374 0.750
9 Ge 0.234 0.859 0.750
10 Ge 0.766 0.141 0.250
11 Ge 0.859 0.626 0.250
12 Ge 0.626 0.766 0.750
13 O 0.494 0.075 0.250
14 O 0.419 0.494 0.750
15 O 0.075 0.581 0.750
16 O 0.925 0.419 0.250
17 O 0.581 0.506 0.250
18 O 0.506 0.925 0.750
19 O 0.247 0.218 0.109
20 O 0.029 0.247 0.609
21 O 0.218 0.971 0.609
22 O 0.782 0.029 0.109
23 O 0.971 0.753 0.109
24 O 0.753 0.782 0.609
25 O 0.753 0.782 0.891
26 O 0.971 0.753 0.391
27 O 0.782 0.029 0.391
28 O 0.218 0.971 0.891
29 O 0.029 0.247 0.891
30 O 0.247 0.218 0.391

Record 5
## Cs3U2Ge2O11 (PBE)

Data for Cs3U2Ge2O11 after structural relaxation.

## Properties
Corrected total energy (MP2020 scheme) ... -7.79 eV/atom
E_form ... -2.85 eV/atom
Crystal system ... monoclinic
Calculated total energy ... -530.6 eV/cell
Calculated density ... 5.57 g/cm³

a = 12.766 Å, b = 7.203 Å, c = 15.803 Å
α = 78.77°, β = 90.00°, γ = 90.00°
Fractional coordinates of all 72 atoms:
1 Cs 0.173 0.082 0.925
2 Cs 0.846 0.923 0.591
3 Cs 0.654 0.423 0.091
4 Cs 0.827 0.918 0.075
5 Cs 0.327 0.582 0.425
6 Cs 0.351 0.389 0.166
7 Cs 0.149 0.889 0.666
8 Cs 0.673 0.418 0.575
9 Cs 0.851 0.111 0.334
10 Cs 0.346 0.577 0.909
11 Cs 0.649 0.611 0.834
12 Cs 0.154 0.077 0.409
13 U 0.055 0.607 0.241
14 U 0.445 0.107 0.741
15 U 0.945 0.393 0.759
16 U 0.555 0.893 0.259
17 U 0.500 0.000 0.000
18 U 0.500 0.000 0.500
19 U 0.000 0.500 0.500
20 U 0.000 0.500 0.000
21 Ge 0.423 0.629 0.674
22 Ge 0.792 0.612 0.339
23 Ge 0.577 0.371 0.326
24 Ge 0.292 0.888 0.161
25 Ge 0.208 0.388 0.661
26 Ge 0.077 0.129 0.174
27 Ge 0.923 0.871 0.826
28 Ge 0.708 0.112 0.839
29 O 0.477 0.146 0.614
30 O 0.955 0.262 0.481
31 O 0.145 0.468 0.994
32 O 0.278 0.189 0.717
33 O 0.523 0.854 0.386
34 O 0.970 0.083 0.760
35 O 0.045 0.738 0.519
36 O 0.146 0.352 0.566
37 O 0.511 0.717 0.590
38 O 0.854 0.648 0.434
39 O 0.222 0.689 0.217
40 O 0.722 0.811 0.283
41 O 0.702 0.418 0.372
42 O 0.903 0.696 0.762
43 O 0.403 0.804 0.738
44 O 0.798 0.918 0.872
45 O 0.584 0.950 0.129
46 O 0.645 0.032 0.506
47 O 0.778 0.311 0.783
48 O 0.470 0.417 0.740
49 O 0.030 0.917 0.240
50 O 0.455 0.238 0.019
51 O 0.355 0.968 0.494
52 O 0.097 0.304 0.238
53 O 0.416 0.050 0.871
54 O 0.989 0.217 0.090
55 O 0.646 0.148 0.934
56 O 0.298 0.582 0.628
57 O 0.354 0.852 0.066
58 O 0.977 0.354 0.886
59 O 0.023 0.646 0.114
60 O 0.115 0.454 0.733
61 O 0.855 0.532 0.006
62 O 0.202 0.082 0.128
63 O 0.545 0.762 0.981
64 O 0.885 0.546 0.267
65 O 0.011 0.783 0.910
66 O 0.084 0.550 0.371
67 O 0.530 0.583 0.260
68 O 0.615 0.046 0.767
69 O 0.489 0.283 0.410
70 O 0.597 0.196 0.262
71 O 0.385 0.954 0.233
72 O 0.916 0.450 0.629